This record from Materials Project describes a geometry-optimized Li2Si3NiO8 structure. The functional is PBE with a Hubbard U.

- ΔE to the lowest computed polymorph (eV per formula unit) = 0.00
- DFT total energy (eV per atom) = -6.836
- size of the total moment (μB per formula unit) = 2.00
- energy of formation from the pure elements (eV per atom) = -2.73

```
28
Lattice="6.329 0.000 0.000 0.000 8.449 0.000 -1.781 0.000 6.405" Properties=species:S:1:pos:R:3 pbc="T T T"
Li 0.343 0.000 0.169
Li 0.908 4.330 4.832
Li 3.639 0.105 1.574
Li 4.204 4.224 6.236
Si -0.300 6.711 3.019
Si 0.956 1.053 2.635
Si 1.750 5.483 1.302
Si 2.797 1.258 5.103
Si 3.592 5.278 3.771
Si 4.847 2.487 3.387
Ni 2.782 2.738 0.776
Ni 1.765 6.963 5.630
O -0.131 8.270 2.508
O 0.165 5.787 1.722
O 0.152 2.363 3.221
O 0.472 6.289 4.343
O 1.654 4.290 0.192
O 1.535 1.259 1.148
O 2.477 6.852 0.854
O 2.088 0.612 3.736
O 2.460 4.836 2.669
O 2.070 2.628 5.551
O 3.013 5.484 5.258
O 2.894 0.065 6.213
O 4.076 2.064 2.063
O 4.395 6.587 3.185
O 4.383 1.563 4.683
O 4.678 4.046 3.897
```